## Li6V3P8O29 (PBE+U)

Data for a relaxed structure of Li6V3P8O29.

abc: 9.8362 9.8589 13.9380
angles: 89.74 89.76 60.20
Space group P1 (No. 1)
One atom of each set of equivalent atoms:
Li: 0.0000 0.0000 0.0000 (multiplicity 1)
Li: 0.0002 0.4610 0.4917 (multiplicity 1)
Li: 0.1359 0.4662 0.9980 (multiplicity 1)
Li: 0.1371 0.8685 0.4909 (multiplicity 1)
Li: 0.2326 0.5509 0.6131 (multiplicity 1)
Li: 0.2430 0.1086 0.1756 (multiplicity 1)
Li: 0.2478 0.1069 0.6704 (multiplicity 1)
Li: 0.5929 0.8671 0.9978 (multiplicity 1)
Li: 0.6828 0.6872 0.6141 (multiplicity 1)
Li: 0.6835 0.1006 0.1199 (multiplicity 1)
Li: 0.8142 0.5495 0.1196 (multiplicity 1)
Li: 0.8152 0.0939 0.6110 (multiplicity 1)
V: 0.3447 0.3455 0.8083 (multiplicity 1)
V: 0.3471 0.7690 0.3009 (multiplicity 1)
V: 0.4754 0.2098 0.3108 (multiplicity 1)
V: 0.4784 0.7764 0.8083 (multiplicity 1)
V: 0.9066 0.2123 0.8054 (multiplicity 1)
V: 0.9079 0.3458 0.3089 (multiplicity 1)
P: 0.0011 0.4568 0.7151 (multiplicity 1)
P: 0.0017 0.0075 0.2143 (multiplicity 1)
P: 0.1406 0.4560 0.2137 (multiplicity 1)
P: 0.1409 0.8662 0.7118 (multiplicity 1)
P: 0.2254 0.6932 0.8978 (multiplicity 1)
P: 0.2291 0.5451 0.3972 (multiplicity 1)
P: 0.2410 0.1118 0.9299 (multiplicity 1)
P: 0.2419 0.1091 0.4293 (multiplicity 1)
P: 0.5778 0.4416 0.1826 (multiplicity 1)
P: 0.5780 0.4457 0.6826 (multiplicity 1)
P: 0.5910 0.0083 0.7147 (multiplicity 1)
P: 0.5923 0.8663 0.2154 (multiplicity 1)
P: 0.6763 0.6903 0.3999 (multiplicity 1)
P: 0.6777 0.0942 0.9000 (multiplicity 1)
P: 0.8218 0.0947 0.3973 (multiplicity 1)
P: 0.8228 0.5439 0.8986 (multiplicity 1)
O: 0.0210 0.1530 0.2302 (multiplicity 1)
O: 0.0231 0.2909 0.7304 (multiplicity 1)
O: 0.0922 0.1098 0.8883 (multiplicity 1)
O: 0.0943 0.2640 0.3929 (multiplicity 1)
O: 0.1208 0.5628 0.3057 (multiplicity 1)
O: 0.1243 0.7721 0.8015 (multiplicity 1)
O: 0.1427 0.7861 0.9832 (multiplicity 1)
O: 0.1454 0.5324 0.1230 (multiplicity 1)
O: 0.1514 0.5324 0.4877 (multiplicity 1)
O: 0.1553 0.7760 0.6221 (multiplicity 1)
O: 0.1646 0.8637 0.2156 (multiplicity 1)
O: 0.1669 0.4405 0.7164 (multiplicity 1)
O: 0.2365 0.2647 0.8913 (multiplicity 1)
O: 0.2380 0.1118 0.0376 (multiplicity 1)
O: 0.2414 0.9611 0.3903 (multiplicity 1)
O: 0.2419 0.1111 0.5371 (multiplicity 1)
O: 0.2417 0.6945 0.3965 (multiplicity 1)
O: 0.2475 0.5262 0.8968 (multiplicity 1)
O: 0.2835 0.8895 0.7302 (multiplicity 1)
O: 0.2848 0.2910 0.2295 (multiplicity 1)
O: 0.3859 0.6852 0.8781 (multiplicity 1)
O: 0.3885 0.1127 0.3848 (multiplicity 1)
O: 0.3897 0.3989 0.3815 (multiplicity 1)
O: 0.3941 0.9644 0.8922 (multiplicity 1)
O: 0.4250 0.1516 0.7307 (multiplicity 1)
O: 0.4248 0.8895 0.2300 (multiplicity 1)
O: 0.4275 0.4484 0.7238 (multiplicity 1)
O: 0.4297 0.5914 0.2276 (multiplicity 1)
O: 0.5272 0.2534 0.8792 (multiplicity 1)
O: 0.5271 0.6813 0.3820 (multiplicity 1)
O: 0.5706 0.8606 0.7174 (multiplicity 1)
O: 0.5738 0.2939 0.2249 (multiplicity 1)
O: 0.5770 0.4417 0.0761 (multiplicity 1)
O: 0.5782 0.0290 0.2138 (multiplicity 1)
O: 0.5847 0.5906 0.7230 (multiplicity 1)
O: 0.5861 0.4366 0.5762 (multiplicity 1)
O: 0.6576 0.1183 0.3964 (multiplicity 1)
O: 0.6600 0.6946 0.8968 (multiplicity 1)
O: 0.6623 0.0217 0.9913 (multiplicity 1)
O: 0.6678 0.7744 0.1256 (multiplicity 1)
O: 0.6733 0.7704 0.4904 (multiplicity 1)
O: 0.6788 0.0147 0.6302 (multiplicity 1)
O: 0.6935 0.9855 0.8109 (multiplicity 1)
O: 0.6984 0.7777 0.3065 (multiplicity 1)
O: 0.7239 0.4471 0.2226 (multiplicity 1)
O: 0.7289 0.2927 0.7266 (multiplicity 1)
O: 0.8100 0.3972 0.8815 (multiplicity 1)
O: 0.8176 0.2530 0.3784 (multiplicity 1)
O: 0.8240 0.1120 0.8985 (multiplicity 1)
O: 0.8262 0.5252 0.3952 (multiplicity 1)
O: 0.9072 0.0232 0.1261 (multiplicity 1)
O: 0.9111 0.5338 0.9883 (multiplicity 1)
O: 0.9110 0.9883 0.3058 (multiplicity 1)
O: 0.9125 0.5337 0.6253 (multiplicity 1)
O: 0.9128 0.5642 0.8063 (multiplicity 1)
O: 0.9142 0.0201 0.4868 (multiplicity 1)
O: 0.9915 0.0285 0.7129 (multiplicity 1)
O: 0.9911 0.4378 0.2185 (multiplicity 1)

Output
The calculation puts the energy relative to the elements at -2.66 eV/atom. The total energy is -7.017 eV per atom. The corrected total energy (MP2020 scheme) is -695.652 eV for the cell shown. For the energy relative to the lowest polymorph listed for this composition, the calculation gives 3 meV/atom. The magnetic moment is 6.00 Bohr magnetons per cell.

## Mn2O3 (PBE+U)

Data for a relaxed structure of Mn2O3.

abc: 5.3043 8.8707 9.5672
angles: 90.00 90.00 90.00
Space group Pna2_1 (No. 33)
One atom of each set of equivalent atoms:
Mn: 0.1650 0.0178 0.0000 (multiplicity 4)
Mn: 0.1712 0.6619 0.0085 (multiplicity 4)
Mn: 0.1753 0.3397 0.7801 (multiplicity 4)
Mn: 0.1852 0.3481 0.1912 (multiplicity 4)
O: 0.0278 0.8197 0.1327 (multiplicity 4)
O: 0.0322 0.4808 0.6314 (multiplicity 4)
O: 0.0327 0.1601 0.1292 (multiplicity 4)
O: 0.1630 0.6689 0.3712 (multiplicity 4)
O: 0.1660 0.0011 0.4089 (multiplicity 4)
O: 0.1808 0.3370 0.4015 (multiplicity 4)

Output
The calculation puts the energy relative to the elements at -1.93 eV/atom. The total energy is -7.480 eV per atom. The corrected total energy (MP2020 scheme) is -342.372 eV for the cell shown. The magnetic moment is 64.00 Bohr magnetons per cell.

## MgCoSb2O7 (PBE+U)

Data for a relaxed structure of MgCoSb2O7.

abc: 7.0328 15.4211 11.4761
angles: 90.00 105.03 90.00
Space group P2_1/c (No. 14)
One atom of each set of equivalent atoms:
Mg: 0.0409 0.0227 0.2426 (multiplicity 4)
Mg: 0.2921 0.1022 0.9053 (multiplicity 4)
Co: 0.0059 0.7236 0.2622 (multiplicity 4)
Co: 0.3157 0.6332 0.9017 (multiplicity 4)
Sb: 0.1565 0.1151 0.5341 (multiplicity 4)
Sb: 0.1902 0.5888 0.5360 (multiplicity 4)
Sb: 0.4367 0.5486 0.1974 (multiplicity 4)
Sb: 0.4960 0.2492 0.2782 (multiplicity 4)
O: 0.0095 0.5851 0.6338 (multiplicity 4)
O: 0.0355 0.6597 0.8929 (multiplicity 4)
O: 0.0383 0.6240 0.3790 (multiplicity 4)
O: 0.0536 0.1220 0.3627 (multiplicity 4)
O: 0.2489 0.2234 0.8159 (multiplicity 4)
O: 0.2514 0.5039 0.0370 (multiplicity 4)
O: 0.2539 0.0124 0.7680 (multiplicity 4)
O: 0.2602 0.7224 0.7647 (multiplicity 4)
O: 0.3177 0.0174 0.0403 (multiplicity 4)
O: 0.3339 0.5184 0.8060 (multiplicity 4)
O: 0.3980 0.1752 0.6121 (multiplicity 4)
O: 0.4100 0.6541 0.0900 (multiplicity 4)
O: 0.4265 0.6584 0.5879 (multiplicity 4)
O: 0.4480 0.1406 0.1819 (multiplicity 4)

Output
The calculation puts the energy relative to the elements at -1.86 eV/atom. The total energy is -5.967 eV per atom. The corrected total energy (MP2020 scheme) is -576.715 eV for the cell shown. The magnetic moment is 24.00 Bohr magnetons per cell.

## K3VS2O2 (PBE+U)

Data for a relaxed structure of K3VS2O2.

abc: 10.7064 7.3983 11.8292
angles: 90.00 121.83 90.00
Space group P2_1/c (No. 14)
One atom of each set of equivalent atoms:
K: 0.0158 0.1355 0.3397 (multiplicity 4)
K: 0.2690 0.2247 0.2065 (multiplicity 4)
K: 0.4367 0.7411 0.3825 (multiplicity 4)
V: 0.1933 0.6991 0.5283 (multiplicity 4)
S: 0.2504 0.0346 0.9431 (multiplicity 4)
S: 0.3606 0.5807 0.0911 (multiplicity 4)
O: 0.0246 0.7158 0.9146 (multiplicity 4)
O: 0.1951 0.6297 0.6662 (multiplicity 4)

Output
The calculation puts the energy relative to the elements at -1.80 eV/atom. The total energy is -5.117 eV per atom. The corrected total energy (MP2020 scheme) is -180.065 eV for the cell shown. The magnetic moment is 0.00 Bohr magnetons per cell.

## KBaV3Cd2O11 (PBE+U)

Data for a relaxed structure of KBaV3Cd2O11.

abc: 10.6070 7.1096 18.0918
angles: 90.00 120.98 90.00
Space group P2_1/c (No. 14)
One atom of each set of equivalent atoms:
K: 0.0230 0.0600 0.1531 (multiplicity 4)
Ba: 0.2214 0.0420 0.5376 (multiplicity 4)
V: 0.1776 0.5294 0.2220 (multiplicity 4)
V: 0.2641 0.5388 0.5626 (multiplicity 4)
V: 0.3437 0.6570 0.8626 (multiplicity 4)
Cd: 0.3873 0.1694 0.9229 (multiplicity 4)
Cd: 0.4714 0.2262 0.2566 (multiplicity 4)
O: 0.0366 0.0056 0.6198 (multiplicity 4)
O: 0.1159 0.6816 0.5284 (multiplicity 4)
O: 0.1700 0.7468 0.7721 (multiplicity 4)
O: 0.1857 0.1532 0.7861 (multiplicity 4)
O: 0.2369 0.0975 0.9758 (multiplicity 4)
O: 0.2743 0.1233 0.1391 (multiplicity 4)
O: 0.3187 0.0197 0.4186 (multiplicity 4)
O: 0.3403 0.5259 0.2193 (multiplicity 4)
O: 0.4207 0.6932 0.6044 (multiplicity 4)
O: 0.4318 0.6578 0.4315 (multiplicity 4)
O: 0.4519 0.5788 0.8227 (multiplicity 4)

Output
The calculation puts the energy relative to the elements at -2.37 eV/atom. The total energy is -6.478 eV per atom. The corrected total energy (MP2020 scheme) is -517.035 eV for the cell shown. The magnetic moment is 0.00 Bohr magnetons per cell.

## Ba2LaV3O11 (PBE+U)

Data for a relaxed structure of Ba2LaV3O11.

abc: 12.6354 7.8889 11.5648
angles: 90.00 103.45 90.00
Space group P2_1/c (No. 14)
One atom of each set of equivalent atoms:
Ba: 0.0538 0.2467 0.3891 (multiplicity 4)
Ba: 0.2644 0.7268 0.9417 (multiplicity 4)
La: 0.4974 0.0001 0.2158 (multiplicity 4)
V: 0.1822 0.0201 0.1735 (multiplicity 4)
V: 0.1854 0.0194 0.6695 (multiplicity 4)
V: 0.4026 0.2500 0.4749 (multiplicity 4)
O: 0.1064 0.5561 0.7668 (multiplicity 4)
O: 0.1108 0.5607 0.0383 (multiplicity 4)
O: 0.1246 0.5536 0.5346 (multiplicity 4)
O: 0.1300 0.5581 0.2794 (multiplicity 4)
O: 0.1677 0.2504 0.1670 (multiplicity 4)
O: 0.2852 0.1355 0.4456 (multiplicity 4)
O: 0.3132 0.5583 0.7203 (multiplicity 4)
O: 0.3176 0.5520 0.1893 (multiplicity 4)
O: 0.3792 0.0337 0.9723 (multiplicity 4)
O: 0.4819 0.2168 0.3680 (multiplicity 4)
O: 0.4856 0.2136 0.6193 (multiplicity 4)

Output
The calculation puts the energy relative to the elements at -3.02 eV/atom. The total energy is -7.592 eV per atom. The corrected total energy (MP2020 scheme) is -566.901 eV for the cell shown. The magnetic moment is 0.00 Bohr magnetons per cell.